Version P
# K3PuH6O8

K3PuH6O8 after structural relaxation (PBE, Materials Project).

Geometry as CIF:
```
data_K3PuH6O8
_chemical_formula_sum 'K6 Pu2 H12 O16'
_symmetry_space_group_name_H-M 'P 1 21/c 1'
_symmetry_Int_Tables_number 14
_symmetry_space_group_name_Hall '-P 2ybc'
_cell_length_a 7.897
_cell_length_b 8.510
_cell_length_c 7.831
_cell_angle_alpha 90.00
_cell_angle_beta 118.53
_cell_angle_gamma 90.00
loop_
_atom_site_label
_atom_site_type_symbol
_atom_site_fract_x
_atom_site_fract_y
_atom_site_fract_z
K1 K 0.000 0.000 0.000
K2 K 0.410 0.197 0.948
Pu1 Pu 0.000 0.000 0.500
H1 H 0.195 0.707 0.864
H2 H 0.361 0.539 0.813
H3 H 0.432 0.531 0.142
O1 O 0.133 0.193 0.556
O2 O 0.168 0.568 0.260
O3 O 0.227 0.597 0.904
O4 O 0.442 0.503 0.750
```

Version Q
# K3PuH6O8

K3PuH6O8 after structural relaxation (PBE, Materials Project).

Geometry as CIF:
```
data_K3PuH6O8
_chemical_formula_sum 'K6 Pu2 H12 O16'
_symmetry_space_group_name_H-M 'P 1 21/c 1'
_symmetry_Int_Tables_number 14
_symmetry_space_group_name_Hall '-P 2ybc'
_cell_length_a 7.621
_cell_length_b 8.454
_cell_length_c 7.900
_cell_angle_alpha 90.00
_cell_angle_beta 116.58
_cell_angle_gamma 90.00
loop_
_atom_site_label
_atom_site_type_symbol
_atom_site_fract_x
_atom_site_fract_y
_atom_site_fract_z
K1 K 0.000 0.000 0.000
K2 K 0.414 0.191 0.957
Pu1 Pu 0.000 0.000 0.500
H1 H 0.166 0.702 0.319
H2 H 0.359 0.527 0.827
H3 H 0.422 0.523 0.129
O1 O 0.129 0.195 0.576
O2 O 0.191 0.591 0.297
O3 O 0.203 0.568 0.921
O4 O 0.446 0.502 0.766
```

Energy comparison, zero being the most stable, in meV per atom: version P 0; version Q 17.

Version P
# K6Sb2H18S8O9

K6Sb2H18S8O9 after structural relaxation (PBE, Materials Project).

Geometry as CIF:
```
data_K6Sb2H18S8O9
_chemical_formula_sum 'K12 Sb4 H36 S16 O18'
_symmetry_space_group_name_H-M 'P 1 c 1'
_symmetry_Int_Tables_number 7
_symmetry_space_group_name_Hall 'P -2yc'
_cell_length_a 12.927
_cell_length_b 7.809
_cell_length_c 13.969
_cell_angle_alpha 90.00
_cell_angle_beta 90.39
_cell_angle_gamma 90.00
loop_
_atom_site_label
_atom_site_type_symbol
_atom_site_fract_x
_atom_site_fract_y
_atom_site_fract_z
K1 K 0.000 0.117 0.000
K2 K 0.000 0.380 0.640
K3 K 0.314 0.327 0.136
K4 K 0.425 0.193 0.720
K5 K 0.577 0.306 0.927
K6 K 0.687 0.172 0.512
Sb1 Sb 0.258 0.246 0.468
Sb2 Sb 0.744 0.253 0.178
H1 H 0.013 0.298 0.433
H2 H 0.018 0.425 0.863
H3 H 0.100 0.249 0.243
H4 H 0.197 0.419 0.799
H5 H 0.205 0.293 0.709
H6 H 0.309 0.332 0.927
H7 H 0.325 0.137 0.910
H8 H 0.440 0.425 0.340
H9 H 0.493 0.112 0.398
H10 H 0.508 0.389 0.249
H11 H 0.561 0.075 0.307
H12 H 0.676 0.363 0.736
H13 H 0.693 0.167 0.720
H14 H 0.798 0.205 0.938
H15 H 0.808 0.080 0.848
H16 H 0.901 0.246 0.403
H17 H 0.901 0.429 0.832
H18 H 0.989 0.195 0.213
S1 S 0.157 0.498 0.958
S2 S 0.200 0.082 0.599
S3 S 0.244 0.091 0.326
S4 S 0.430 0.337 0.497
S5 S 0.570 0.167 0.151
S6 S 0.755 0.408 0.322
S7 S 0.799 0.421 0.048
S8 S 0.846 0.001 0.190
O1 O 0.043 0.281 0.200
O2 O 0.215 0.412 0.731
O3 O 0.362 0.242 0.930
O4 O 0.460 0.473 0.277
O5 O 0.542 0.028 0.371
O6 O 0.639 0.257 0.717
O7 O 0.784 0.088 0.915
O8 O 0.957 0.217 0.448
O9 O 0.962 0.353 0.835
```

Version Q
# K6Sb2H18S8O9

K6Sb2H18S8O9 after structural relaxation (PBE, Materials Project).

Geometry as CIF:
```
data_K6Sb2H18S8O9
_chemical_formula_sum 'K12 Sb4 H36 S16 O18'
_symmetry_space_group_name_H-M 'P 1 21 1'
_symmetry_Int_Tables_number 4
_symmetry_space_group_name_Hall 'P 2yb'
_cell_length_a 10.544
_cell_length_b 11.272
_cell_length_c 11.786
_cell_angle_alpha 90.00
_cell_angle_beta 95.30
_cell_angle_gamma 90.00
loop_
_atom_site_label
_atom_site_type_symbol
_atom_site_fract_x
_atom_site_fract_y
_atom_site_fract_z
K1 K 0.005 0.000 0.173
K2 K 0.085 0.805 0.594
K3 K 0.086 0.329 0.132
K4 K 0.308 0.271 0.422
K5 K 0.353 0.159 0.828
K6 K 0.387 0.579 0.887
Sb1 Sb 0.149 0.635 0.358
Sb2 Sb 0.327 0.959 0.392
H1 H 0.066 0.066 0.909
H2 H 0.094 0.284 0.910
H3 H 0.103 0.184 0.702
H4 H 0.137 0.942 0.901
H5 H 0.161 0.298 0.937
H6 H 0.180 0.891 0.406
H7 H 0.187 0.608 0.672
H8 H 0.198 0.646 0.726
H9 H 0.252 0.820 0.797
H10 H 0.274 0.117 0.230
H11 H 0.277 0.957 0.059
H12 H 0.282 0.657 0.127
H13 H 0.288 0.477 0.313
H14 H 0.306 0.052 0.507
H15 H 0.326 0.500 0.628
H16 H 0.379 0.561 0.170
H17 H 0.397 0.344 0.096
H18 H 0.410 0.789 0.081
S1 S 0.092 0.431 0.587
S2 S 0.101 0.087 0.634
S3 S 0.113 0.711 0.170
S4 S 0.271 0.390 0.651
S5 S 0.359 0.229 0.092
S6 S 0.391 0.836 0.610
S7 S 0.417 0.657 0.385
S8 S 0.423 0.661 0.560
O1 O 0.108 0.002 0.955
O2 O 0.140 0.714 0.878
O3 O 0.164 0.827 0.816
O4 O 0.195 0.464 0.308
O5 O 0.219 0.087 0.288
O6 O 0.284 0.384 0.782
O7 O 0.358 0.949 0.108
O8 O 0.371 0.623 0.112
O9 O 0.428 0.864 0.042
```

Energy comparison, zero being the most stable, in meV per atom: version P 0; version Q 461.

Version P
# NaLaH2S2O9

NaLaH2S2O9 after structural relaxation (PBE, Materials Project).

Geometry as CIF:
```
data_NaLaH2S2O9
_chemical_formula_sum 'Na3 La3 H6 S6 O27'
_symmetry_space_group_name_H-M 'P 31'
_symmetry_Int_Tables_number 144
_symmetry_space_group_name_Hall 'P 31'
_cell_length_a 7.2026
_cell_length_b 7.2026
_cell_length_c 12.8159
_cell_angle_alpha 90.00
_cell_angle_beta 90.00
_cell_angle_gamma 120.00
loop_
_atom_site_label
_atom_site_type_symbol
_atom_site_fract_x
_atom_site_fract_y
_atom_site_fract_z
Na1 Na 0.0026 0.4782 0.0000
La1 La 0.4408 0.0020 0.1666
H1 H 0.0379 0.9415 0.8723
H2 H 0.0920 0.0588 0.4563
S1 S 0.0032 0.4384 0.7532
S2 S 0.4423 0.0022 0.9136
O1 O 0.0936 0.0049 0.1637
O2 O 0.1204 0.6189 0.6779
O3 O 0.1283 0.3748 0.3119
O4 O 0.1361 0.6210 0.1766
O5 O 0.1542 0.4066 0.8201
O6 O 0.3700 0.1276 0.3551
O7 O 0.4101 0.1529 0.8467
O8 O 0.4966 0.3769 0.6554
O9 O 0.5186 0.3838 0.1569
```

Version Q
# NaLaH2S2O9

NaLaH2S2O9 after structural relaxation (PBE, Materials Project).

Geometry as CIF:
```
data_NaLaH2S2O9
_chemical_formula_sum 'Na3 La3 H6 S6 O27'
_symmetry_space_group_name_H-M 'P 31 2 1'
_symmetry_Int_Tables_number 152
_symmetry_space_group_name_Hall 'P 31 2"'
_cell_length_a 7.1495
_cell_length_b 7.1495
_cell_length_c 13.0588
_cell_angle_alpha 90.00
_cell_angle_beta 90.00
_cell_angle_gamma 120.00
loop_
_atom_site_label
_atom_site_type_symbol
_atom_site_fract_x
_atom_site_fract_y
_atom_site_fract_z
Na1 Na 0.0000 0.4722 0.1667
La1 La 0.0000 0.4357 0.6667
H1 H 0.0468 0.0959 0.3723
S1 S 0.0122 0.4528 0.9127
O1 O 0.0000 0.0807 0.6667
O2 O 0.1200 0.6159 0.3471
O3 O 0.1272 0.3870 0.4859
O4 O 0.1312 0.6370 0.8403
O5 O 0.1634 0.4098 0.9731
```

Energy comparison, zero being the most stable, in meV per atom: version P 5; version Q 0.